Record 1
LiFeF3: optimized geometry, PBE+U. Values from VASP.

space-group type: No. 88
energy above the most stable polymorph in this dataset: 85.5 meV per atom

Structure (Quantum ESPRESSO input):
```
&SYSTEM
  ibrav = 0, nat = 80, ntyp = 3
/
ATOMIC_SPECIES
F 19.00 F.upf
Li 6.94 Li.upf
Fe 55.84 Fe.upf
CELL_PARAMETERS angstrom
-6.1619 6.1619 5.9922
6.1619 -6.1619 5.9922
6.1619 6.1619 -5.9922
ATOMIC_POSITIONS crystal
F 0.8238 0.9153 0.2762
Li 0.3688 0.2462 0.1239
F 0.3881 0.0345 0.3147
F 0.3028 0.8515 0.9760
F 0.7198 0.5734 0.1853
F 0.8597 0.5856 0.9077
Fe 0.0000 0.5000 0.5000
Li 0.2449 0.8688 0.1226
F 0.2802 0.4266 0.8147
F 0.6972 0.1485 0.0240
F 0.4655 0.7802 0.8537
F 0.1762 0.0847 0.7238
F 0.3268 0.8028 0.4513
F 0.1917 0.0578 0.9685
Li 0.6312 0.7538 0.8761
Fe 0.5000 0.5000 0.5000
Fe 0.1305 0.8805 0.7500
F 0.0893 0.7232 0.5315
F 0.2204 0.5439 0.6156
F 0.8755 0.8268 0.5240
F 0.0856 0.1779 0.2259
F 0.0439 0.4283 0.8236
Fe 0.7611 0.8981 0.6255
Fe 0.2727 0.6356 0.8745
Li 0.6250 0.8750 0.2500
Li 0.5000 0.5000 0.0000
F 0.0734 0.8881 0.3537
Fe 0.0000 0.0000 0.0000
Li 0.1223 0.7449 0.3761
Li 0.7551 0.1312 0.8774
F 0.5847 0.8609 0.4085
Fe 0.3981 0.7727 0.6371
F 0.6732 0.1972 0.5487
Li 0.8750 0.6250 0.7500
F 0.3221 0.5480 0.4077
Fe 0.8695 0.1195 0.2500
F 0.6119 0.9655 0.6853
F 0.9283 0.1047 0.8844
F 0.6779 0.4520 0.5923
Li 0.2538 0.3777 0.6226
Fe 0.2389 0.1019 0.3745
Fe 0.8644 0.7389 0.1371
Li 0.0000 0.0000 0.5000
F 0.3609 0.9524 0.7762
F 0.0717 0.8953 0.1156
F 0.1245 0.1732 0.4760
F 0.7796 0.4561 0.3844
F 0.9561 0.5717 0.1764
Li 0.1250 0.3750 0.2500
F 0.5476 0.3238 0.9085
F 0.6047 0.7204 0.6764
F 0.8083 0.9422 0.0315
Li 0.8777 0.2551 0.6239
F 0.3953 0.2796 0.3236
F 0.3515 0.3755 0.0487
F 0.1403 0.4144 0.0923
F 0.9107 0.2768 0.4685
Fe 0.7273 0.3644 0.1255
F 0.5345 0.2198 0.1463
Li 0.3750 0.1250 0.7500
F 0.2232 0.6917 0.1339
F 0.6485 0.6245 0.9513
F 0.4153 0.1391 0.5915
Fe 0.6195 0.3695 0.7500
F 0.9520 0.3597 0.2741
F 0.4524 0.6762 0.0915
Li 0.5000 0.0000 0.0000
F 0.5578 0.5893 0.3661
Li 0.7462 0.6223 0.3774
Li 0.5000 0.0000 0.5000
F 0.6391 0.0476 0.2238
Fe 0.3805 0.6305 0.2500
F 0.4422 0.4107 0.6339
F 0.9144 0.8221 0.7741
F 0.0480 0.6403 0.7259
F 0.7768 0.3083 0.8661
Fe 0.6019 0.2273 0.3629
F 0.9266 0.1119 0.6463
Fe 0.1356 0.2611 0.8629
Fe 0.0000 0.5000 0.0000
```

Record 2
Li2Fe5F17: optimized geometry, PBE+U. Values from VASP.

space-group type: No. 63

Structure (Quantum ESPRESSO input):
```
&SYSTEM
  ibrav = 0, nat = 96, ntyp = 3
/
ATOMIC_SPECIES
F 19.00 F.upf
Fe 55.84 Fe.upf
Li 6.94 Li.upf
CELL_PARAMETERS angstrom
3.7584 -12.4991 0.0000
3.7584 12.4991 0.0000
0.0000 0.0000 14.9618
ATOMIC_POSITIONS crystal
F 0.1140 0.8860 0.3480
F 0.8556 0.5544 0.2500
F 0.7565 0.8573 0.3440
F 0.9858 0.3860 0.5894
F 0.5500 0.8392 0.2500
Fe 0.6237 0.8744 0.1197
F 0.4821 0.8722 0.4050
F 0.9015 0.7015 0.4982
F 0.6417 0.3583 0.0912
F 0.8392 0.5500 0.7500
F 0.8722 0.4821 0.9050
F 0.3860 0.9858 0.0894
F 0.7015 0.9015 0.9982
Li 0.6941 0.3059 0.7500
Li 0.2504 0.7496 0.0558
Li 0.2504 0.7496 0.4442
F 0.6140 0.0142 0.9106
F 0.8548 0.1452 0.3605
F 0.5179 0.1278 0.9050
F 0.0142 0.6140 0.4106
F 0.1452 0.8548 0.6395
Fe 0.7451 0.7500 0.7500
F 0.5544 0.8556 0.7500
Fe 0.3763 0.1256 0.6197
F 0.1608 0.4500 0.2500
F 0.1444 0.4456 0.7500
F 0.6452 0.7541 0.8436
F 0.1452 0.8548 0.8605
Fe 0.8828 0.6198 0.1243
Li 0.7496 0.2504 0.5558
Fe 0.1172 0.3802 0.8757
F 0.2985 0.0985 0.0018
F 0.8573 0.7565 0.6560
Fe 0.8744 0.6237 0.8803
F 0.8573 0.7565 0.8440
F 0.1427 0.2435 0.3440
F 0.3992 0.6008 0.3906
F 0.3992 0.6008 0.1094
F 0.4821 0.8722 0.0950
F 0.9015 0.7015 0.0018
F 0.7541 0.6452 0.1564
F 0.1278 0.5179 0.0950
F 0.9784 0.0216 0.7500
Fe 0.1256 0.3763 0.1197
F 0.0216 0.9784 0.2500
Fe 0.6198 0.8828 0.8757
F 0.6140 0.0142 0.5894
F 0.3583 0.6417 0.9088
Fe 0.2500 0.2549 0.7500
F 0.2459 0.3548 0.8436
F 0.3548 0.2459 0.1564
F 0.7015 0.9015 0.5018
F 0.4784 0.5216 0.2500
F 0.5179 0.1278 0.5950
F 0.8860 0.1140 0.8480
F 0.6008 0.3992 0.6094
F 0.3548 0.2459 0.3436
F 0.2435 0.1427 0.6560
Fe 0.2549 0.2500 0.2500
F 0.1140 0.8860 0.1520
F 0.8722 0.4821 0.5950
Fe 0.1172 0.3802 0.6243
F 0.2435 0.1427 0.8440
F 0.5216 0.4784 0.7500
Fe 0.6198 0.8828 0.6243
F 0.9858 0.3860 0.9106
F 0.1427 0.2435 0.1560
Li 0.0000 0.0000 0.5000
F 0.7541 0.6452 0.3436
F 0.4456 0.1444 0.2500
Fe 0.8828 0.6198 0.3757
Li 0.0000 0.0000 0.0000
F 0.0142 0.6140 0.0894
Fe 0.3802 0.1172 0.3757
F 0.2459 0.3548 0.6564
F 0.3860 0.9858 0.4106
Fe 0.1256 0.3763 0.3803
F 0.7565 0.8573 0.1560
F 0.2985 0.0985 0.4982
F 0.4500 0.1608 0.7500
Fe 0.6237 0.8744 0.3803
Fe 0.3763 0.1256 0.8803
F 0.8860 0.1140 0.6520
F 0.8548 0.1452 0.1395
Fe 0.7500 0.7451 0.2500
Fe 0.8744 0.6237 0.6197
Li 0.7496 0.2504 0.9442
F 0.6008 0.3992 0.8906
F 0.3583 0.6417 0.5912
F 0.0985 0.2985 0.9982
F 0.6452 0.7541 0.6564
F 0.6417 0.3583 0.4088
Fe 0.3802 0.1172 0.1243
F 0.0985 0.2985 0.5018
Li 0.3059 0.6941 0.2500
F 0.1278 0.5179 0.4050
```

Record 3
LiFeF3: optimized geometry, PBE+U. Values from VASP.

space-group type: No. 38
energy above the most stable polymorph in this dataset: 544.3 meV per atom

Structure (Quantum ESPRESSO input):
```
&SYSTEM
  ibrav = 0, nat = 10, ntyp = 3
/
ATOMIC_SPECIES
F 19.00 F.upf
Li 6.94 Li.upf
Fe 55.84 Fe.upf
CELL_PARAMETERS angstrom
-5.5189 2.7489 1.3151
1.1334 0.3878 -6.1894
-1.5142 -2.8229 -0.4542
ATOMIC_POSITIONS crystal
F 0.8187 0.5589 0.5000
Li 0.9950 0.9950 0.5000
F 0.8623 0.1378 0.0000
Fe 0.0007 0.4975 0.0000
F 0.1866 0.4419 0.5000
Fe 0.4975 0.0007 0.0000
F 0.1378 0.8623 0.0000
F 0.5589 0.8187 0.5000
F 0.4419 0.1866 0.5000
Li 0.4989 0.4989 0.5000
```

Record 4
LiFeF3: optimized geometry, PBE+U. Values from VASP.

space-group type: No. 2
energy above the most stable polymorph in this dataset: 61.7 meV per atom

Structure (Quantum ESPRESSO input):
```
&SYSTEM
  ibrav = 0, nat = 50, ntyp = 3
/
ATOMIC_SPECIES
Fe 55.84 Fe.upf
F 19.00 F.upf
Li 6.94 Li.upf
CELL_PARAMETERS angstrom
6.9671 0.0000 0.0000
-0.0875 7.9147 0.0000
-0.9290 -3.3895 11.6298
ATOMIC_POSITIONS crystal
Fe 0.7578 0.2738 0.9747
F 0.5984 0.2848 0.6201
Fe 0.9565 0.9019 0.8454
F 0.3415 0.1399 0.7783
Li 0.6977 0.4603 0.7422
Fe 0.0435 0.0981 0.1546
F 0.5169 0.7271 0.9928
F 0.4655 0.5826 0.7537
F 0.8345 0.4106 0.4428
F 0.1655 0.5894 0.5572
F 0.6585 0.8601 0.2217
F 0.0334 0.1565 0.9696
F 0.9758 0.9307 0.6810
Fe 0.1170 0.3076 0.4401
F 0.8319 0.5113 0.1024
F 0.7818 0.1889 0.1364
Fe 0.8098 0.4758 0.2670
F 0.5345 0.4174 0.2463
F 0.4016 0.7152 0.3799
Fe 0.2422 0.7262 0.0253
Li 0.3724 0.7398 0.5291
F 0.2342 0.7186 0.1868
Fe 0.1902 0.5242 0.7330
Li 0.4938 0.8048 0.8604
Li 0.1536 0.0899 0.6542
F 0.1681 0.4887 0.8976
Fe 0.5696 0.0709 0.6754
F 0.4831 0.2729 0.0072
F 0.9666 0.8435 0.0304
F 0.6269 0.7896 0.6049
Li 0.2581 0.2683 0.9143
F 0.3272 0.9751 0.5596
Fe 0.4304 0.9291 0.3246
F 0.0913 0.3808 0.2704
Li 0.3023 0.5397 0.2578
F 0.3155 0.0340 0.1507
F 0.6845 0.9660 0.8493
Li 0.7419 0.7317 0.0857
F 0.0242 0.0693 0.3190
F 0.8994 0.7061 0.3913
Li 0.8464 0.9101 0.3458
F 0.1006 0.2939 0.6087
F 0.3731 0.2104 0.3951
Li 0.5062 0.1952 0.1396
F 0.2182 0.8111 0.8636
Fe 0.8830 0.6924 0.5599
F 0.6728 0.0249 0.4404
Li 0.6276 0.2602 0.4709
F 0.7658 0.2814 0.8132
F 0.9087 0.6192 0.7296
```

Number 1: energy of formation -2711 meV per atom, spin magnetization 0.800 μB per atom. Number 2: energy of formation -2657 meV per atom, spin magnetization 1.042 μB per atom. Number 3: energy of formation -2253 meV per atom, spin magnetization 0.000 μB per atom. Number 4: energy of formation -2735 meV per atom, spin magnetization 0.800 μB per atom.